No. 1
Zr9Re4P | the Materials Project | PBE | optimized geometry; ΔE_f = -408 meV per atom; spin magnetization = 0.84 μB/cell
1.0
8.598 0.000 0.000
-4.299 7.446 0.000
0.000 0.000 8.802
Zr Re P
18 8 2
Direct
0.073 0.536 0.250 Zr
0.198 0.396 0.548 Zr
0.198 0.396 0.952 Zr
0.198 0.802 0.548 Zr
0.198 0.802 0.952 Zr
0.396 0.198 0.048 Zr
0.396 0.198 0.452 Zr
0.464 0.536 0.250 Zr
0.464 0.927 0.250 Zr
0.536 0.073 0.750 Zr
0.536 0.464 0.750 Zr
0.604 0.802 0.548 Zr
0.604 0.802 0.952 Zr
0.802 0.198 0.048 Zr
0.802 0.198 0.452 Zr
0.802 0.604 0.048 Zr
0.802 0.604 0.452 Zr
0.927 0.464 0.750 Zr
0.000 0.000 0.000 Re
0.000 0.000 0.500 Re
0.107 0.214 0.250 Re
0.107 0.893 0.250 Re
0.214 0.107 0.750 Re
0.786 0.893 0.250 Re
0.893 0.107 0.750 Re
0.893 0.786 0.750 Re
0.333 0.667 0.750 P
0.667 0.333 0.250 P

=====

No. 2
P3Rh | the Materials Project | PBE | optimized geometry; ΔE_f = -578 meV per atom
1.0
-4.031 4.031 4.031
4.031 -4.031 4.031
4.031 4.031 -4.031
P Rh
12 4
Direct
0.140 0.496 0.356 P
0.140 0.784 0.644 P
0.216 0.356 0.860 P
0.356 0.140 0.496 P
0.356 0.860 0.216 P
0.496 0.356 0.140 P
0.504 0.644 0.860 P
0.644 0.140 0.784 P
0.644 0.860 0.504 P
0.784 0.644 0.140 P
0.860 0.216 0.356 P
0.860 0.504 0.644 P
0.000 0.000 0.500 Rh
0.000 0.500 0.000 Rh
0.500 0.000 0.000 Rh
0.500 0.500 0.500 Rh